Entry 1:
## NaCdN (GGA-PBE)

Data for a relaxed structure of NaCdN.

```
NaCdN
1.0
-2.794 -0.950 2.439
0.177 -1.719 -3.472
2.770 -3.429 1.839
Na Cd N
1 1 1
direct
0.667 0.335 0.000
0.997 0.995 0.500
0.669 0.337 0.500
```

Summary:
**Electronic total energy**: -3.182 eV/atom
**Space-group type**: Amm2
**Formation enthalpy at 0 K**: 0.2252 eV/atom

---

Entry 2:
## RbLi7Ge8 (GGA-PBE)

Data for a relaxed structure of RbLi7Ge8.

```
RbLi7Ge8
1.0
9.752 0.000 0.000
-4.876 8.445 0.000
0.000 0.000 16.600
Li Ge Rb
28 32 4
direct
0.560 0.440 0.944
0.120 0.560 0.444
0.440 0.880 0.444
0.560 0.120 0.944
0.880 0.440 0.944
0.440 0.560 0.444
0.522 0.478 0.310
0.044 0.522 0.810
0.478 0.956 0.810
0.522 0.044 0.310
0.956 0.478 0.310
0.478 0.522 0.810
0.161 0.839 0.084
0.322 0.161 0.584
0.839 0.678 0.584
0.161 0.322 0.084
0.678 0.839 0.084
0.839 0.161 0.584
0.834 0.166 0.400
0.668 0.834 0.900
0.166 0.332 0.900
0.834 0.668 0.400
0.332 0.166 0.400
0.166 0.834 0.900
0.000 0.000 0.653
0.000 0.000 0.153
0.000 0.000 0.835
0.000 0.000 0.335
0.667 0.333 0.377
0.333 0.667 0.877
0.579 0.421 0.507
0.157 0.579 0.007
0.421 0.843 0.007
0.579 0.157 0.507
0.843 0.421 0.507
0.421 0.579 0.007
0.348 0.174 0.868
0.174 0.348 0.368
0.174 0.826 0.368
0.826 0.174 0.868
0.826 0.652 0.868
0.652 0.826 0.368
0.263 0.266 0.735
0.734 0.997 0.735
0.003 0.737 0.735
0.997 0.263 0.235
0.737 0.734 0.235
0.266 0.003 0.235
0.263 0.997 0.735
0.266 0.263 0.235
0.997 0.734 0.235
0.003 0.266 0.735
0.734 0.737 0.735
0.737 0.003 0.235
0.184 0.092 0.996
0.092 0.184 0.496
0.092 0.908 0.496
0.908 0.092 0.996
0.908 0.816 0.996
0.816 0.908 0.496
0.667 0.333 0.152
0.333 0.667 0.652
0.667 0.333 0.715
0.333 0.667 0.215
```

Summary:
**Electronic total energy**: -3.451 eV/atom
**Space-group type**: P6_3mc
**Formation enthalpy at 0 K**: -0.2434 eV/atom

---

Entry 3:
## LaWN3 (GGA-PBE)

Data for a relaxed structure of LaWN3.

```
LaWN3
1.0
-0.366 0.149 5.641
5.668 -0.364 0.377
0.525 7.983 -0.176
La W N
4 4 12
direct
0.018 0.998 0.250
0.982 0.002 0.750
0.518 0.502 0.250
0.482 0.498 0.750
0.500 0.000 0.000
0.000 0.500 0.500
0.000 0.500 0.000
0.500 0.000 0.500
0.727 0.271 0.970
0.773 0.771 0.470
0.773 0.771 0.030
0.727 0.271 0.530
0.227 0.229 0.970
0.273 0.729 0.470
0.005 0.559 0.750
0.995 0.441 0.250
0.495 0.059 0.250
0.273 0.729 0.030
0.227 0.229 0.530
0.505 0.941 0.750
```

Summary:
**Electronic total energy**: -9.556 eV/atom
**Space-group type**: Pnma
**Formation enthalpy at 0 K**: -1.1918 eV/atom

---

Entry 4:
## Hg2CN3Cl5 (GGA-PBE)

Data for a relaxed structure of Hg2CN3Cl5.

```
Hg2CN3Cl5
1.0
-5.355 5.362 -0.602
3.261 -5.400 4.241
11.863 12.629 6.961
Hg C N Cl
4 2 6 10
direct
0.764 0.497 0.038
0.236 0.503 0.538
0.503 0.236 0.462
0.497 0.764 0.962
0.884 0.116 0.250
0.116 0.884 0.750
0.792 0.208 0.250
0.208 0.792 0.750
0.043 0.182 0.192
0.957 0.818 0.692
0.818 0.957 0.308
0.182 0.043 0.808
0.185 0.583 0.422
0.815 0.417 0.922
0.417 0.815 0.078
0.583 0.185 0.578
0.744 0.540 0.161
0.256 0.460 0.661
0.460 0.256 0.339
0.540 0.744 0.839
0.125 0.125 0.000
0.875 0.875 0.500
```

Summary:
**Electronic total energy**: -3.414 eV/atom
**Space-group type**: C222_1
**Formation enthalpy at 0 K**: 0.3149 eV/atom

---

Entry 5:
## Ce20Mg19Zn81 (GGA-PBE)

Data for a relaxed structure of Ce20Mg19Zn81.

```
Ce20Mg19Zn81
1.0
2.750 -4.571 13.752
12.326 -7.552 2.935
10.806 6.277 7.836
Ce Mg Zn
20 19 81
direct
0.153 0.153 0.153
0.398 0.398 0.806
0.967 0.967 0.533
0.172 0.172 0.828
0.398 0.398 0.398
0.967 0.533 0.533
0.806 0.398 0.398
0.967 0.533 0.967
0.153 0.153 0.540
0.153 0.540 0.153
0.540 0.153 0.153
0.828 0.172 0.828
0.398 0.806 0.398
0.172 0.828 0.172
0.533 0.967 0.533
0.828 0.172 0.172
0.533 0.967 0.967
0.172 0.828 0.828
0.533 0.533 0.967
0.828 0.828 0.172
0.774 0.440 0.774
0.440 0.774 0.774
0.012 0.440 0.774
0.774 0.012 0.774
0.774 0.774 0.440
0.774 0.012 0.440
0.012 0.774 0.440
0.440 0.012 0.774
0.668 0.332 0.332
0.332 0.332 0.668
0.332 0.668 0.668
0.440 0.774 0.012
0.668 0.332 0.668
0.774 0.774 0.012
0.668 0.668 0.332
0.774 0.440 0.012
0.250 0.250 0.250
0.332 0.668 0.332
0.012 0.774 0.774
0.202 0.384 0.384
0.587 0.887 0.349
0.887 0.349 0.177
0.239 0.920 0.920
0.384 0.384 0.202
0.673 0.673 0.673
0.177 0.349 0.887
0.887 0.177 0.587
0.361 0.546 0.546
0.587 0.887 0.177
0.797 0.797 0.797
0.673 0.673 0.982
0.548 0.732 0.172
0.548 0.548 0.172
0.172 0.548 0.732
0.384 0.202 0.031
0.071 0.786 0.071
0.546 0.546 0.546
0.786 0.071 0.071
0.384 0.202 0.384
0.177 0.349 0.587
0.349 0.587 0.177
0.071 0.071 0.786
0.349 0.887 0.587
0.001 0.705 0.001
0.609 0.797 0.797
0.177 0.587 0.349
0.172 0.732 0.548
0.177 0.887 0.587
0.548 0.548 0.732
0.732 0.548 0.548
0.705 0.294 0.001
0.384 0.384 0.031
0.294 0.705 0.001
0.732 0.548 0.172
0.887 0.177 0.349
0.000 0.000 0.000
0.349 0.587 0.887
0.982 0.673 0.673
0.177 0.587 0.887
0.548 0.172 0.548
0.172 0.548 0.548
0.177 0.887 0.349
0.294 0.001 0.705
0.705 0.001 0.294
0.001 0.001 0.705
0.071 0.071 0.071
0.031 0.202 0.384
0.887 0.349 0.587
0.548 0.172 0.732
0.384 0.031 0.384
0.349 0.177 0.587
0.294 0.001 0.001
0.587 0.349 0.887
0.001 0.001 0.294
0.349 0.887 0.177
0.031 0.384 0.202
0.001 0.705 0.294
0.587 0.177 0.349
0.546 0.361 0.546
0.384 0.031 0.202
0.587 0.349 0.177
0.797 0.797 0.609
0.920 0.239 0.920
0.887 0.587 0.349
0.548 0.732 0.548
0.546 0.546 0.361
0.001 0.294 0.705
0.920 0.920 0.239
0.797 0.609 0.797
0.887 0.587 0.177
0.001 0.294 0.001
0.587 0.177 0.887
0.202 0.031 0.384
0.705 0.001 0.001
0.673 0.982 0.673
0.732 0.172 0.548
0.031 0.384 0.384
0.920 0.920 0.920
0.349 0.177 0.887
0.202 0.384 0.031
```

Summary:
**Electronic total energy**: -2.357 eV/atom
**Space-group type**: F-43m
**Formation enthalpy at 0 K**: -0.2644 eV/atom

---

Entry 6:
## In (GGA-PBE)

Data for a relaxed structure of In.

```
In
1.0
-1.655 1.655 2.508
1.655 -1.655 2.508
1.655 1.655 -2.508
In
1
direct
0.000 0.000 0.000
```

Summary:
**Electronic total energy**: -2.722 eV/atom
**Space-group type**: I4/mmm
**Formation enthalpy at 0 K**: 0.0298 eV/atom

---

Entry 7:
## K2TaF7 (GGA-PBE)

Data for a relaxed structure of K2TaF7.

```
K2TaF7
1.0
5.873 0.000 0.000
0.000 9.913 0.000
0.000 0.000 11.889
K Ta F
8 4 28
direct
0.750 0.128 0.049
0.750 0.628 0.451
0.250 0.872 0.951
0.250 0.372 0.549
0.250 0.464 0.172
0.250 0.964 0.328
0.750 0.536 0.828
0.750 0.036 0.672
0.250 0.243 0.868
0.250 0.743 0.632
0.750 0.757 0.132
0.750 0.257 0.368
0.031 0.361 0.947
0.469 0.861 0.553
0.531 0.639 0.053
0.969 0.139 0.447
0.969 0.639 0.053
0.531 0.139 0.447
0.469 0.361 0.947
0.031 0.861 0.553
0.031 0.091 0.853
0.469 0.591 0.647
0.531 0.909 0.147
0.969 0.409 0.353
0.969 0.909 0.147
0.531 0.409 0.353
0.469 0.091 0.853
0.031 0.591 0.647
0.045 0.301 0.746
0.455 0.801 0.754
0.545 0.699 0.254
0.955 0.199 0.246
0.955 0.699 0.254
0.545 0.199 0.246
0.455 0.301 0.746
0.045 0.801 0.754
0.250 0.162 0.023
0.250 0.662 0.477
0.750 0.838 0.977
0.750 0.338 0.523
```

Summary:
**Electronic total energy**: -5.924 eV/atom
**Space-group type**: Pnma
**Formation enthalpy at 0 K**: -3.4998 eV/atom

---

Entry 8:
## SbPtS (GGA-PBE)

Data for a relaxed structure of SbPtS.

```
SbPtS
1.0
-4.295 -1.520 -4.333
-3.300 -3.104 4.359
-3.193 5.252 1.322
Sb Pt S
4 4 4
direct
0.881 0.381 0.119
0.381 0.119 0.881
0.119 0.881 0.381
0.619 0.619 0.619
0.506 0.006 0.494
0.006 0.494 0.506
0.494 0.506 0.006
0.994 0.994 0.994
0.115 0.615 0.885
0.615 0.885 0.115
0.885 0.115 0.615
0.385 0.385 0.385
```

Summary:
**Electronic total energy**: -5.173 eV/atom
**Space-group type**: P2_13
**Formation enthalpy at 0 K**: -0.5620 eV/atom

---

Entry 9:
## MgInMoS4 (GGA-PBE)

Data for a relaxed structure of MgInMoS4.

```
MgInMoS4
1.0
6.563 0.000 3.789
2.181 6.180 3.800
0.001 0.014 7.576
Mg In Mo S
2 2 2 8
direct
0.874 0.875 0.876
0.126 0.124 0.125
0.500 0.500 0.500
0.000 0.500 0.500
0.500 0.500 0.000
0.500 0.000 0.500
0.726 0.747 0.747
0.266 0.244 0.725
0.266 0.725 0.244
0.719 0.254 0.253
0.734 0.275 0.756
0.281 0.747 0.746
0.274 0.253 0.253
0.734 0.756 0.275
```

Summary:
**Electronic total energy**: -5.233 eV/atom
**Space-group type**: Imma
**Formation enthalpy at 0 K**: -0.9859 eV/atom

---

Entry 10:
## Ti3AgS6 (GGA-PBE)

Data for a relaxed structure of Ti3AgS6.

```
Ti3AgS6
1.0
6.683 -2.971 0.000
6.683 2.971 0.000
5.362 0.000 4.974
Ti Ag S
3 1 6
direct
0.500 0.500 0.500
0.167 0.167 0.167
0.833 0.833 0.833
0.000 0.000 0.000
0.570 0.245 0.908
0.908 0.570 0.245
0.245 0.908 0.570
0.755 0.092 0.430
0.092 0.430 0.755
0.430 0.755 0.092
```

Summary:
**Electronic total energy**: -6.283 eV/atom
**Space-group type**: R-3
**Formation enthalpy at 0 K**: -1.4508 eV/atom

---

Entry 11:
## Tm2Pd2O5 (GGA-PBE)

Data for a relaxed structure of Tm2Pd2O5.

```
Tm2Pd2O5
1.0
-2.656 -3.016 0.093
1.611 -1.313 3.441
-4.373 3.960 3.558
Tm Pd O
2 2 5
direct
0.000 0.000 0.000
0.000 0.000 0.500
0.500 0.500 0.190
0.500 0.500 0.810
0.500 0.000 0.224
0.500 0.000 0.776
0.500 0.500 0.500
0.000 0.500 0.224
0.000 0.500 0.776
```

Summary:
**Electronic total energy**: -6.531 eV/atom
**Space-group type**: P4/mmm
**Formation enthalpy at 0 K**: -2.0182 eV/atom

---

Entry 12:
## K3Os (GGA-PBE)

Data for a relaxed structure of K3Os.

```
K3Os
1.0
5.194 -1.927 -1.907
1.980 -5.247 1.695
0.255 -4.415 -3.842
K Os
3 1
direct
0.250 0.250 0.250
0.750 0.750 0.750
0.500 0.500 0.500
0.000 0.000 0.000
```

Summary:
**Electronic total energy**: -2.293 eV/atom
**Space-group type**: Fm-3m
**Formation enthalpy at 0 K**: 1.3465 eV/atom

---

What is the electronic total energy in the second record? -3.451 eV/atom

---

What is the formation enthalpy at 0 K in the third record? -1.1918 eV/atom

---

Which value of formation enthalpy at 0 K does entry 3 give? -1.1918 eV/atom